(1)
Below is crystalline Ac2GaSi at its relaxed geometry, with properties calculated at the PBE level.

Geometry as POSCAR:
```
Ac2GaSi
1.0
0.0000 3.8890 3.8890
3.8890 0.0000 3.8890
3.8890 3.8890 0.0000
Ac Ga Si
2 1 1
Direct
0.7500 0.7500 0.7500
0.2500 0.2500 0.2500
0.5000 0.5000 0.5000
0.0000 0.0000 0.0000
```

As for the calculated total energy: -4.536 eV/atom. Its formation energy is -1.4 eV/f.u. The corrected total energy (MP2020 scheme) comes out at -4.52 eV per atom.


(2)
Below is crystalline AcGaTe2 at its relaxed geometry, with properties calculated at the PBE level.

Geometry as POSCAR:
```
AcGaTe2
1.0
4.8480 -2.4510 -1.5406
2.6174 -3.5460 3.5298
0.1317 -5.5295 -1.1361
Ac Ga Te
1 1 2
Direct
0.5000 0.5000 0.5000
0.0000 0.0000 0.0000
0.2500 0.2500 0.2500
0.7500 0.7500 0.7500
```

As for the calculated total energy: -4.302 eV/atom. Its formation energy is -4.6 eV/f.u. The corrected total energy (MP2020 scheme) comes out at -4.51 eV per atom.


(3)
Below is crystalline Ac2ZnGa at its relaxed geometry, with properties calculated at the PBE level.

Geometry as POSCAR:
```
Ac2ZnGa
1.0
1.0998 -4.1758 3.4850
-2.1573 0.0116 5.1125
-3.9866 -3.6208 1.3374
Ac Zn Ga
2 1 1
Direct
0.7500 0.7500 0.7500
0.2500 0.2500 0.2500
0.0000 0.0000 0.0000
0.5000 0.5000 0.5000
```

As for the calculated total energy: -3.481 eV/atom. Its formation energy is -1.4 eV/f.u.


(4)
Below is crystalline AcGe3 at its relaxed geometry, with properties calculated at the PBE level.

Geometry as POSCAR:
```
AcGe3
1.0
3.3223 -5.7543 0.0000
3.3223 5.7543 0.0000
0.0000 0.0000 4.9680
Ac Ge
2 6
Direct
0.3333 0.6667 0.7500
0.6667 0.3333 0.2500
0.1370 0.2740 0.2500
0.7260 0.8630 0.2500
0.1370 0.8630 0.2500
0.8630 0.7260 0.7500
0.2740 0.1370 0.7500
0.8630 0.1370 0.7500
```

As for the calculated total energy: -4.938 eV/atom. Its formation energy is -1.8 eV/f.u.